DFT (r²SCAN) results for a geometry-optimized Yb2I2O structure.

## Properties
E_form, eV/atom: -1.084
Theoretical density, g/cm3: 4.33
Electronic total energy, eV per atom: -26.71
Crystal system: tetragonal
Symmetry: P4/mmm

Cell lengths 4.149, 4.149, 13.728 Å; angles 90.00, 90.00, 90.00 degrees
Fractional coordinates of all 5 atoms:
Yb: 0.000 0.000 0.144
Yb: 0.000 0.000 0.856
I: 0.000 0.000 0.347
I: 0.000 0.000 0.653
O: 0.000 0.000 0.000